No. 1
This record from Materials Project describes a relaxed LiCuAuO2 crystal. The functional is GGA-PBE.

Structure (extended XYZ):
```
5
Lattice="1.368 -1.996 7.170 3.704 -3.567 5.481 4.089 -0.380 6.295" Properties=species:S:1:pos:R:3 pbc="T T T"
Li 3.861 -2.474 7.861
Cu 4.963 -3.247 10.369
Au 9.008 -5.842 18.616
O 0.710 -0.439 1.382
O 8.067 -5.253 16.757
```

Summary:
E above lowest polymorph = 26.5 meV/atom
final energy = -22.4 eV for the cell shown



No. 2
This record from Materials Project describes a relaxed LiCuAuO2 crystal. The functional is GGA-PBE.

Structure (extended XYZ):
```
5
Lattice="-1.989 6.339 0.795 0.616 6.065 2.760 1.030 6.597 -0.445" Properties=species:S:1:pos:R:3 pbc="T T T"
Li -0.083 4.612 0.755
Cu -0.166 9.200 1.506
Au -0.003 0.156 0.026
O -0.040 2.200 0.360
O -0.308 17.083 2.797
```

Summary:
E above lowest polymorph = 0.0 meV/atom
final energy = -22.5 eV for the cell shown



No. 3
This record from Materials Project describes a relaxed Cu6AuN2 crystal. The functional is GGA-PBE.

Structure (extended XYZ):
```
9
Lattice="-0.311 -3.857 -0.411 -0.221 -0.394 3.865 -7.820 0.672 -0.378" Properties=species:S:1:pos:R:3 pbc="T T T"
Cu -0.266 -2.125 1.727
Cu -4.176 -1.790 1.538
Cu -2.125 -1.759 -0.301
Cu -6.006 -1.426 -0.488
Cu -2.080 -0.028 1.837
Cu -5.961 0.306 1.650
Au 0.000 0.000 0.000
N -2.309 -1.950 1.628
N -6.043 -1.629 1.448
```

Summary:
final energy = -42.4 eV for the cell shown



No. 4
This record from Materials Project describes a relaxed Sc2CuAu crystal. The functional is GGA-PBE.

Structure (extended XYZ):
```
4
Lattice="-1.002 -2.400 3.948 -0.968 2.327 3.999 -4.403 0.013 1.721" Properties=species:S:1:pos:R:3 pbc="T T T"
Sc -1.593 -0.015 2.417
Sc -4.780 -0.045 7.251
Cu 0.000 0.000 0.000
Au -3.187 -0.030 4.834
```

Summary:
final energy = -22.2 eV for the cell shown



No. 5
This record from Materials Project describes a relaxed CuAuSe4 crystal. The functional is GGA-PBE.

Structure (extended XYZ):
```
12
Lattice="7.536 0.000 0.000 0.000 4.455 0.000 0.000 0.496 8.198" Properties=species:S:1:pos:R:3 pbc="T T T"
Cu 1.884 4.649 5.403
Cu 5.652 0.301 2.794
Au 3.768 2.227 0.000
Au 0.000 2.227 0.000
Se 0.021 2.999 5.686
Se 3.789 1.951 2.512
Se 7.516 1.951 2.512
Se 3.747 2.999 5.686
Se 5.652 4.455 5.192
Se 1.884 0.495 3.006
Se 5.652 3.831 0.549
Se 1.884 1.119 7.649
```

Summary:
final energy = -43.7 eV for the cell shown



No. 6
This record from Materials Project describes a relaxed CuSnAu crystal. The functional is GGA-PBE.

Structure (extended XYZ):
```
6
Lattice="-2.090 2.090 6.488 2.090 -2.090 6.488 2.090 2.090 -6.488" Properties=species:S:1:pos:R:3 pbc="T T T"
Cu 2.090 0.000 0.000
Cu 0.000 2.090 0.000
Sn 0.000 0.000 8.512
Sn 0.000 0.000 4.464
Au 0.000 0.000 11.300
Au 0.000 0.000 1.677
```

Summary:
final energy = -23.3 eV for the cell shown



No. 7
This record from Materials Project describes a relaxed Cu3SnAu crystal. The functional is GGA-PBE.

Structure (extended XYZ):
```
20
Lattice="-2.075 6.300 -1.744 -2.046 1.112 6.451 6.208 2.472 1.543" Properties=species:S:1:pos:R:3 pbc="T T T"
Cu 2.170 3.126 6.489
Cu 2.025 4.325 4.143
Cu 3.219 5.526 6.167
Cu -0.411 5.201 3.571
Cu -1.320 7.202 5.031
Cu -2.651 6.419 2.892
Cu 2.532 8.260 2.074
Cu 3.852 6.422 0.715
Cu 1.618 5.786 1.969
Cu -0.118 3.181 0.366
Cu -0.384 1.818 2.610
Cu 1.987 2.037 1.473
Sn -0.821 5.767 0.784
Sn 3.808 3.934 2.138
Sn -0.317 2.947 5.076
Sn 1.503 7.121 4.503
Au 0.220 5.403 6.289
Au -0.114 7.944 2.381
Au 4.027 6.231 3.709
Au 0.040 0.191 0.121
```

Summary:
final energy = -76.2 eV for the cell shown



No. 8
This record from Materials Project describes a relaxed UCu4Au crystal. The functional is GGA-PBE.

Structure (extended XYZ):
```
6
Lattice="1.903 0.138 4.680 -3.101 0.268 3.982 -0.531 -3.985 3.062" Properties=species:S:1:pos:R:3 pbc="T T T"
U 0.000 0.000 0.000
Cu -0.815 -0.258 5.796
Cu 0.459 -2.366 5.340
Cu -2.022 -2.302 4.994
Cu -1.078 -2.234 7.314
Au -0.432 -0.895 2.931
```

Summary:
final energy = -31.2 eV for the cell shown



No. 9
This record from Materials Project describes a relaxed Y2CuAu crystal. The functional is GGA-PBE.

Structure (extended XYZ):
```
4
Lattice="0.000 3.549 3.549 3.549 0.000 3.549 3.549 3.549 0.000" Properties=species:S:1:pos:R:3 pbc="T T T"
Y 5.323 5.323 5.323
Y 1.774 1.774 1.774
Cu 0.000 0.000 0.000
Au 3.549 3.549 3.549
```

Summary:
final energy = -22.5 eV for the cell shown



No. 10
This record from Materials Project describes a relaxed Zn2CuAu crystal. The functional is GGA-PBE.

Structure (extended XYZ):
```
8
Lattice="4.503 0.000 0.000 0.000 4.697 0.000 0.000 0.000 5.561" Properties=species:S:1:pos:R:3 pbc="T T T"
Zn 2.251 3.846 4.169
Zn 2.251 3.846 1.392
Zn 0.000 0.851 1.388
Zn 0.000 0.851 4.173
Cu 0.000 3.222 2.781
Cu 2.251 1.475 0.000
Au 2.251 1.513 2.781
Au 0.000 3.184 0.000
```

Summary:
final energy = -21.0 eV for the cell shown



No. 11
This record from Materials Project describes a relaxed Zn2CuAu crystal. The functional is GGA-PBE.

Structure (extended XYZ):
```
4
Lattice="0.000 3.091 3.091 3.091 0.000 3.091 3.091 3.091 0.000" Properties=species:S:1:pos:R:3 pbc="T T T"
Zn 4.637 4.637 4.637
Zn 1.546 1.546 1.546
Cu 3.091 3.091 3.091
Au 0.000 0.000 0.000
```

Summary:
final energy = -10.5 eV for the cell shown



No. 12
This record from Materials Project describes a relaxed Dy14Au51 crystal. The functional is GGA-PBE.

Structure (extended XYZ):
```
65
Lattice="-10.473 -6.121 -4.108 3.642 -1.044 12.234 -5.164 7.381 2.167" Properties=species:S:1:pos:R:3 pbc="T T T"
Dy -10.982 -1.248 -2.115
Dy -10.061 -3.207 6.753
Dy -4.007 2.239 2.630
Dy -5.706 -0.221 6.963
Dy -3.003 0.686 10.313
Dy -2.227 2.397 6.335
Dy 1.653 -0.953 7.184
Dy -2.508 -2.886 3.853
Dy -2.333 -4.370 9.323
Dy -2.600 -1.676 -0.487
Dy -9.169 -6.045 -1.262
Dy -5.534 -5.565 5.766
Dy -7.317 -2.214 1.989
Dy -9.383 0.738 2.856
Au -5.499 -4.664 8.807
Au 1.761 -0.012 10.262
Au -1.808 -0.165 2.280
Au -3.940 -3.000 6.798
Au -0.731 -1.513 9.383
Au -0.854 -0.359 5.159
Au -7.547 2.156 8.312
Au -4.338 3.642 10.896
Au -4.461 4.797 6.673
Au -9.091 0.471 10.315
Au -1.832 5.123 11.769
Au -5.401 4.970 3.788
Au 0.000 0.000 0.000
Au -1.063 -2.736 6.787
Au -0.442 1.123 8.499
Au -3.590 0.025 4.737
Au -4.389 -1.879 9.320
Au -0.457 0.095 11.982
Au -0.974 2.222 3.503
Au -6.996 -3.039 7.073
Au -2.129 2.484 12.684
Au -2.646 4.612 4.205
Au -8.668 -0.649 7.775
Au -2.118 3.519 9.202
Au -5.266 2.421 5.441
Au -6.065 0.516 10.023
Au -9.537 -4.442 1.695
Au -5.452 -2.417 4.530
Au -5.949 -1.234 -0.683
Au -4.431 -1.065 2.032
Au -8.393 -3.000 -0.818
Au -7.986 -4.211 4.275
Au -7.257 2.976 3.218
Au -11.220 1.040 0.368
Au -10.813 -0.171 5.461
Au -12.278 -0.524 2.846
Au -8.193 1.501 5.681
Au -8.690 2.684 0.467
Au -1.636 2.338 0.686
Au -2.702 -0.394 7.475
Au -4.588 2.302 8.266
Au -3.528 5.043 1.481
Au -10.188 -2.371 3.603
Au -6.286 0.275 3.889
Au -8.576 -0.119 -0.224
Au -6.488 0.910 1.243
Au -10.429 -1.755 0.933
Au -8.133 -1.370 5.093
Au -7.048 -5.096 0.563
Au -5.528 -4.729 2.932
Au -4.728 -3.461 0.522
```

Summary:
final energy = -272.4 eV for the cell shown



no.,formation energy from the elements (meV/atom)
1,-921
2,-948
3,161
4,-544
5,-393
6,-97
7,104
8,-37
9,-547
10,-156
11,-147
12,-630